1.
A plane-wave DFT calculation with GGA-PBE was carried out for LiHg after structural relaxation.

- Crystal system: cubic
- DFT total energy: -2.96 eV for the cell shown

```
data_LiHg
_cell_length_a 3.3448
_cell_length_b 3.3448
_cell_length_c 3.3448
_cell_angle_alpha 90.00
_cell_angle_beta 90.00
_cell_angle_gamma 90.00
_space_group_name_H-M_alt 'P m -3 m'
_space_group_IT_number 221
_space_group_name_Hall '-P 4 2 3'
loop_
_atom_site_label
_atom_site_fract_x
_atom_site_fract_y
_atom_site_fract_z
Li1 0.0000 0.0000 0.0000
Hg1 0.5000 0.5000 0.5000
```

---

2.
A plane-wave DFT calculation with GGA-PBE was carried out for LiLuHg2 after structural relaxation.

- Crystal system: cubic
- DFT total energy: -34.74 eV for the cell shown

```
data_LiLuHg2
_cell_length_a 7.0224
_cell_length_b 7.0224
_cell_length_c 7.0224
_cell_angle_alpha 90.00
_cell_angle_beta 90.00
_cell_angle_gamma 90.00
_space_group_name_H-M_alt 'F m -3 m'
_space_group_IT_number 225
_space_group_name_Hall '-F 4 2 3'
loop_
_atom_site_label
_atom_site_fract_x
_atom_site_fract_y
_atom_site_fract_z
Li1 0.0000 0.0000 0.0000
Lu1 0.0000 0.0000 0.5000
Hg1 0.2500 0.2500 0.2500
```

---

3.
A plane-wave DFT calculation with GGA-PBE was carried out for Li2MgHg after structural relaxation.

- Crystal system: cubic
- DFT total energy: -26.99 eV for the cell shown

```
data_Li2MgHg
_cell_length_a 6.6203
_cell_length_b 6.6203
_cell_length_c 6.6203
_cell_angle_alpha 90.00
_cell_angle_beta 90.00
_cell_angle_gamma 90.00
_space_group_name_H-M_alt 'F m -3 m'
_space_group_IT_number 225
_space_group_name_Hall '-F 4 2 3'
loop_
_atom_site_label
_atom_site_fract_x
_atom_site_fract_y
_atom_site_fract_z
Li1 0.2500 0.2500 0.2500
Mg1 0.0000 0.0000 0.0000
Hg1 0.0000 0.0000 0.5000
```

---

4.
A plane-wave DFT calculation with GGA-PBE was carried out for Li2MgHg after structural relaxation.

- Crystal system: cubic
- DFT total energy: -27.35 eV for the cell shown

```
data_Li2MgHg
_cell_length_a 6.7291
_cell_length_b 6.7291
_cell_length_c 6.7291
_cell_angle_alpha 90.00
_cell_angle_beta 90.00
_cell_angle_gamma 90.00
_space_group_name_H-M_alt 'F -4 3 m'
_space_group_IT_number 216
_space_group_name_Hall 'F -4 2 3'
loop_
_atom_site_label
_atom_site_fract_x
_atom_site_fract_y
_atom_site_fract_z
Li1 0.0000 0.0000 0.0000
Li2 0.2500 0.2500 0.2500
Mg1 0.0000 0.0000 0.5000
Hg1 0.2500 0.2500 0.7500
```

---

5.
A plane-wave DFT calculation with GGA-PBE was carried out for Li2HgP4O12 after structural relaxation.

- Crystal system: monoclinic
- DFT total energy: -494.56 eV for the cell shown

```
data_Li2HgP4O12
_cell_length_a 9.5897
_cell_length_b 10.2866
_cell_length_c 9.7172
_cell_angle_alpha 90.00
_cell_angle_beta 91.61
_cell_angle_gamma 90.00
_space_group_name_H-M_alt 'P 1 21/c 1'
_space_group_IT_number 14
loop_
_space_group_symop_operation_xyz
'x,y,z'
'-x,-y,-z'
'-x,y+1/2,-z+1/2'
'x,-y+1/2,z+1/2'
loop_
_atom_site_label
_atom_site_fract_x
_atom_site_fract_y
_atom_site_fract_z
Li1 0.1063 0.1821 0.9997
Li2 0.3913 0.1822 0.9976
Hg1 0.2484 0.6938 0.4889
P1 0.0067 0.6000 0.2032
P2 0.2332 0.0977 0.7004
P3 0.2621 0.5359 0.7706
P4 0.4655 0.6052 0.2071
O1 0.0236 0.6171 0.3565
O2 0.0381 0.7091 0.1059
O3 0.0847 0.0318 0.6569
O4 0.1543 0.0626 0.3368
O5 0.2359 0.6724 0.8171
O6 0.2445 0.1181 0.8533
O7 0.2515 0.2105 0.6050
O8 0.2581 0.5175 0.6150
O9 0.3359 0.5190 0.1526
O10 0.4053 0.0134 0.3380
O11 0.4668 0.6184 0.3610
O12 0.4676 0.7233 0.1158
```

---

6.
A plane-wave DFT calculation with GGA-PBE was carried out for LiHg2Pd after structural relaxation.

- Crystal system: cubic
- DFT total energy: -35.85 eV for the cell shown

```
data_LiHg2Pd
_cell_length_a 6.6416
_cell_length_b 6.6416
_cell_length_c 6.6416
_cell_angle_alpha 90.00
_cell_angle_beta 90.00
_cell_angle_gamma 90.00
_space_group_name_H-M_alt 'F m -3 m'
_space_group_IT_number 225
_space_group_name_Hall '-F 4 2 3'
loop_
_atom_site_label
_atom_site_fract_x
_atom_site_fract_y
_atom_site_fract_z
Li1 0.0000 0.0000 0.0000
Hg1 0.2500 0.2500 0.2500
Pd1 0.0000 0.0000 0.5000
```

---

7.
A plane-wave DFT calculation with GGA-PBE was carried out for LiPrHg2 after structural relaxation.

- Crystal system: cubic
- DFT total energy: -36.49 eV for the cell shown

```
data_LiPrHg2
_cell_length_a 7.3354
_cell_length_b 7.3354
_cell_length_c 7.3354
_cell_angle_alpha 90.00
_cell_angle_beta 90.00
_cell_angle_gamma 90.00
_space_group_name_H-M_alt 'F m -3 m'
_space_group_IT_number 225
_space_group_name_Hall '-F 4 2 3'
loop_
_atom_site_label
_atom_site_fract_x
_atom_site_fract_y
_atom_site_fract_z
Li1 0.0000 0.0000 0.0000
Pr1 0.0000 0.0000 0.5000
Hg1 0.2500 0.2500 0.2500
```

---

8.
A plane-wave DFT calculation with GGA-PBE was carried out for Sr17Li6Hg9 after structural relaxation.

- Crystal system: cubic
- DFT total energy: -213.93 eV for the cell shown

```
data_Sr17Li6Hg9
_cell_length_a 16.6675
_cell_length_b 16.6675
_cell_length_c 16.6675
_cell_angle_alpha 90.00
_cell_angle_beta 90.00
_cell_angle_gamma 90.00
_space_group_name_H-M_alt 'I m -3 m'
_space_group_IT_number 229
_space_group_name_Hall '-I 4 2 3'
loop_
_atom_site_label
_atom_site_fract_x
_atom_site_fract_y
_atom_site_fract_z
Sr1 0.0000 0.0000 0.0000
Sr2 0.0000 0.0000 0.5000
Sr3 0.0000 0.2500 0.5000
Sr4 0.1305 0.1305 0.3183
Li1 0.0000 0.1480 0.1480
Hg1 0.0000 0.0000 0.2312
Hg2 0.0000 0.2953 0.2953
```

---

9.
A plane-wave DFT calculation with GGA-PBE was carried out for LiThHg2 after structural relaxation.

- Crystal system: cubic
- DFT total energy: -44.35 eV for the cell shown

```
data_LiThHg2
_cell_length_a 7.3234
_cell_length_b 7.3234
_cell_length_c 7.3234
_cell_angle_alpha 90.00
_cell_angle_beta 90.00
_cell_angle_gamma 90.00
_space_group_name_H-M_alt 'F m -3 m'
_space_group_IT_number 225
_space_group_name_Hall '-F 4 2 3'
loop_
_atom_site_label
_atom_site_fract_x
_atom_site_fract_y
_atom_site_fract_z
Li1 0.0000 0.0000 0.0000
Th1 0.0000 0.0000 0.5000
Hg1 0.2500 0.2500 0.2500
```

---

10.
A plane-wave DFT calculation with GGA-PBE was carried out for LiTmHg2 after structural relaxation.

- Crystal system: cubic
- DFT total energy: -34.77 eV for the cell shown

```
data_LiTmHg2
_cell_length_a 7.0463
_cell_length_b 7.0463
_cell_length_c 7.0463
_cell_angle_alpha 90.00
_cell_angle_beta 90.00
_cell_angle_gamma 90.00
_space_group_name_H-M_alt 'F m -3 m'
_space_group_IT_number 225
_space_group_name_Hall '-F 4 2 3'
loop_
_atom_site_label
_atom_site_fract_x
_atom_site_fract_y
_atom_site_fract_z
Li1 0.0000 0.0000 0.0000
Tm1 0.0000 0.0000 0.5000
Hg1 0.2500 0.2500 0.2500
```

---

11.
A plane-wave DFT calculation with GGA-PBE was carried out for LiYHg2 after structural relaxation.

- Crystal system: cubic
- DFT total energy: -43.18 eV for the cell shown

```
data_LiYHg2
_cell_length_a 7.1256
_cell_length_b 7.1256
_cell_length_c 7.1256
_cell_angle_alpha 90.00
_cell_angle_beta 90.00
_cell_angle_gamma 90.00
_space_group_name_H-M_alt 'F m -3 m'
_space_group_IT_number 225
_space_group_name_Hall '-F 4 2 3'
loop_
_atom_site_label
_atom_site_fract_x
_atom_site_fract_y
_atom_site_fract_z
Li1 0.0000 0.0000 0.0000
Y1 0.0000 0.0000 0.5000
Hg1 0.2500 0.2500 0.2500
```

---

12.
A plane-wave DFT calculation with GGA-PBE was carried out for LuMgHg2 after structural relaxation.

- Crystal system: cubic
- DFT total energy: -33.63 eV for the cell shown

```
data_LuMgHg2
_cell_length_a 7.1087
_cell_length_b 7.1087
_cell_length_c 7.1087
_cell_angle_alpha 90.00
_cell_angle_beta 90.00
_cell_angle_gamma 90.00
_space_group_name_H-M_alt 'F m -3 m'
_space_group_IT_number 225
_space_group_name_Hall '-F 4 2 3'
loop_
_atom_site_label
_atom_site_fract_x
_atom_site_fract_y
_atom_site_fract_z
Lu1 0.0000 0.0000 0.0000
Mg1 0.0000 0.0000 0.5000
Hg1 0.2500 0.2500 0.2500
```

---

13.
A plane-wave DFT calculation with GGA-PBE was carried out for LuScHg2 after structural relaxation.

- Crystal system: cubic
- DFT total energy: -52.94 eV for the cell shown

```
data_LuScHg2
_cell_length_a 7.1899
_cell_length_b 7.1899
_cell_length_c 7.1899
_cell_angle_alpha 90.00
_cell_angle_beta 90.00
_cell_angle_gamma 90.00
_space_group_name_H-M_alt 'F m -3 m'
_space_group_IT_number 225
_space_group_name_Hall '-F 4 2 3'
loop_
_atom_site_label
_atom_site_fract_x
_atom_site_fract_y
_atom_site_fract_z
Lu1 0.0000 0.0000 0.0000
Sc1 0.0000 0.0000 0.5000
Hg1 0.2500 0.2500 0.2500
```

---

14.
A plane-wave DFT calculation with GGA-PBE was carried out for TbLuHg2 after structural relaxation.

- Crystal system: cubic
- DFT total energy: -46.64 eV for the cell shown

```
data_TbLuHg2
_cell_length_a 7.4005
_cell_length_b 7.4005
_cell_length_c 7.4005
_cell_angle_alpha 90.00
_cell_angle_beta 90.00
_cell_angle_gamma 90.00
_space_group_name_H-M_alt 'F m -3 m'
_space_group_IT_number 225
_space_group_name_Hall '-F 4 2 3'
loop_
_atom_site_label
_atom_site_fract_x
_atom_site_fract_y
_atom_site_fract_z
Tb1 0.0000 0.0000 0.0000
Lu1 0.0000 0.0000 0.5000
Hg1 0.2500 0.2500 0.2500
```

---

15.
A plane-wave DFT calculation with GGA-PBE was carried out for TmLuHg2 after structural relaxation.

- Crystal system: cubic
- DFT total energy: -45.96 eV for the cell shown

```
data_TmLuHg2
_cell_length_a 7.3291
_cell_length_b 7.3291
_cell_length_c 7.3291
_cell_angle_alpha 90.00
_cell_angle_beta 90.00
_cell_angle_gamma 90.00
_space_group_name_H-M_alt 'F m -3 m'
_space_group_IT_number 225
_space_group_name_Hall '-F 4 2 3'
loop_
_atom_site_label
_atom_site_fract_x
_atom_site_fract_y
_atom_site_fract_z
Tm1 0.0000 0.0000 0.0000
Lu1 0.0000 0.0000 0.5000
Hg1 0.2500 0.2500 0.2500
```

---

16.
A plane-wave DFT calculation with GGA-PBE was carried out for MgHg2 after structural relaxation.

- Crystal system: monoclinic
- DFT total energy: -10.31 eV for the cell shown

```
data_MgHg2
_cell_length_a 11.7968
_cell_length_b 3.5129
_cell_length_c 7.1063
_cell_angle_alpha 90.00
_cell_angle_beta 109.18
_cell_angle_gamma 90.00
_space_group_name_H-M_alt 'C 1 2/m 1'
_space_group_IT_number 12
loop_
_space_group_symop_operation_xyz
'x,y,z'
'-x,-y,-z'
'-x,y,-z'
'x,-y,z'
'x+1/2,y+1/2,z'
'-x+1/2,-y+1/2,-z'
'-x+1/2,y+1/2,-z'
'x+1/2,-y+1/2,z'
loop_
_atom_site_label
_atom_site_fract_x
_atom_site_fract_y
_atom_site_fract_z
Mg1 0.0291 0.0000 0.2804
Hg1 0.1430 0.5000 0.0475
Hg2 0.1666 0.5000 0.6187
```

---

17.
A plane-wave DFT calculation with GGA-PBE was carried out for MgHg2 after structural relaxation.

- Crystal system: tetragonal
- DFT total energy: -5.15 eV for the cell shown

```
data_MgHg2
_cell_length_a 3.9141
_cell_length_b 3.9141
_cell_length_c 8.9640
_cell_angle_alpha 90.00
_cell_angle_beta 90.00
_cell_angle_gamma 90.00
_space_group_name_H-M_alt 'I 4/m m m'
_space_group_IT_number 139
_space_group_name_Hall '-I 4 2'
loop_
_atom_site_label
_atom_site_fract_x
_atom_site_fract_y
_atom_site_fract_z
Mg1 0.0000 0.0000 0.0000
Hg1 0.0000 0.0000 0.3335
```

---

18.
A plane-wave DFT calculation with GGA-PBE was carried out for Mg3Hg after structural relaxation.

- Crystal system: trigonal
- DFT total energy: -100.62 eV for the cell shown

```
data_Mg3Hg
_cell_length_a 8.3239
_cell_length_b 8.3239
_cell_length_c 26.8597
_cell_angle_alpha 90.00
_cell_angle_beta 90.00
_cell_angle_gamma 120.00
_space_group_name_H-M_alt 'R 3 2'
_space_group_IT_number 155
_space_group_name_Hall 'R 3 2"'
loop_
_atom_site_label
_atom_site_fract_x
_atom_site_fract_y
_atom_site_fract_z
Mg1 0.0000 0.0000 0.0571
Mg2 0.0000 0.0000 0.1812
Mg3 0.0000 0.0000 0.3629
Mg4 0.0053 0.2617 0.7241
Mg5 0.0257 0.7290 0.5562
Hg1 0.0000 0.3262 0.5000
Hg2 0.0000 0.6817 0.0000
```

---

19.
A plane-wave DFT calculation with GGA-PBE was carried out for Mg3Hg after structural relaxation.

- Crystal system: hexagonal
- DFT total energy: -11.46 eV for the cell shown

```
data_Mg3Hg
_cell_length_a 6.2830
_cell_length_b 6.2830
_cell_length_c 5.0460
_cell_angle_alpha 90.00
_cell_angle_beta 90.00
_cell_angle_gamma 120.00
_space_group_name_H-M_alt 'P 63/m m c'
_space_group_IT_number 194
_space_group_name_Hall '-P 6c 2c'
loop_
_atom_site_label
_atom_site_fract_x
_atom_site_fract_y
_atom_site_fract_z
Mg1 0.1683 0.3366 0.2500
Hg1 0.3333 0.6667 0.7500
```

---

20.
A plane-wave DFT calculation with GGA-PBE was carried out for Mg2Hg after structural relaxation.

- Crystal system: orthorhombic
- DFT total energy: -16.36 eV for the cell shown

```
data_Mg2Hg
_cell_length_a 6.1794
_cell_length_b 4.6897
_cell_length_c 8.9717
_cell_angle_alpha 90.00
_cell_angle_beta 90.00
_cell_angle_gamma 90.00
_space_group_name_H-M_alt 'P n m a'
_space_group_IT_number 62
loop_
_space_group_symop_operation_xyz
'x,y,z'
'-x,-y,-z'
'-x+1/2,-y,z+1/2'
'x+1/2,y,-z+1/2'
'x+1/2,-y+1/2,-z+1/2'
'-x+1/2,y+1/2,z+1/2'
'-x,y+1/2,-z'
'x,-y+1/2,z'
loop_
_atom_site_label
_atom_site_fract_x
_atom_site_fract_y
_atom_site_fract_z
Mg1 0.0499 0.2500 0.2094
Mg2 0.1795 0.2500 0.5561
Hg1 0.2139 0.2500 0.8795
```

---

no.,DFT formation energy (eV/f.u.)
1,-0.7
2,-1.6
3,-1.0
4,-1.1
5,-46.7
6,-1.3
7,-1.8
8,-10.6
9,-1.2
10,-1.7
11,-1.8
12,-1.7
13,-1.8
14,-1.9
15,-1.9
16,-0.4
17,-0.4
18,-0.5
19,-0.6
20,-0.6